This record from Materials Project describes crystalline Na14Sc4Si9Ge4S3O48 at its relaxed geometry. The functional is PBE-GGA.

Lattice parameters (Å, degrees): 8.9680 15.5905 21.9896 91.08 90.01 90.12
Closest atoms and distances in Å follow each position.
Positions (direct):
1 Na 0.0000 0.0000 0.0000  4 O 2.32-2.58
2 Na 0.9999 0.3347 0.6672  7 O 2.48-2.77
3 Na 0.0384 0.6488 0.6695  6 O 2.43-2.69
4 Na 0.0409 0.6783 0.9942  7 O 2.41-2.68
5 Na 0.0428 0.3485 0.3397  3 O 2.28-2.45
6 Na 0.0528 0.3213 0.9964  4 O 2.39-2.57
7 Na 0.0567 0.9789 0.3342  6 O 2.37-2.64
8 Na 0.1653 0.4772 0.8295  6 O 2.36-2.51
9 Na 0.1685 0.8204 0.5005  4 O 2.39-2.67
10 Na 0.1800 0.8499 0.8359  4 O 2.28-2.54
11 Na 0.1818 0.1824 0.5011  7 O 2.43-2.70
12 Na 0.1827 0.1527 0.1717  7 O 2.47-2.69
13 Na 0.2233 0.4978 0.5088  5 O 2.32-2.55
14 Na 0.2226 0.8334 0.1692  7 O 2.47-2.73
15 Na 0.2382 0.1739 0.8339  6 O 2.43-2.65
16 Na 0.3557 0.3299 0.9183  6 O 2.45-2.71
17 Na 0.3594 0.0034 0.2502  6 O 2.38-2.60
18 Na 0.3587 0.6600 0.0838  6 O 2.37-2.54
19 Na 0.3634 0.0053 0.7444  5 O 2.35-2.62
20 Na 0.3677 0.6637 0.5858  6 O 2.41-2.52
21 Na 0.3724 0.3241 0.4234  5 O 2.33-2.57
22 Na 0.4768 0.1687 0.3404  5 O 2.35-2.54
23 Na 0.4918 0.5010 0.0028  6 O 2.44-2.72
24 Na 0.5095 0.8369 0.6634  7 O 2.50-2.76
25 Na 0.5374 0.1569 0.6685  7 O 2.45-2.68
26 Na 0.5423 0.1918 0.9960  6 O 2.43-2.61
27 Na 0.5433 0.8476 0.3426  4 O 2.34-2.60
28 Na 0.5599 0.4783 0.3272  6 O 2.39-2.67
29 Na 0.6680 0.9816 0.8231  5 O 2.35-2.59
30 Na 0.6784 0.3485 0.8317  4 O 2.34-2.62
31 Na 0.6808 0.6901 0.5006  6 O 2.45-2.60
32 Na 0.6843 0.6517 0.1712  7 O 2.41-2.69
33 Na 0.7151 0.3370 0.1629  6 O 2.49-2.73
34 Na 0.7320 0.0025 0.5065  5 O 2.45-2.50
35 Na 0.7479 0.6682 0.8364  6 O 2.39-2.58
36 Na 0.8493 0.8248 0.9178  5 O 2.40-2.61
37 Na 0.8561 0.1658 0.0839  6 O 2.42-2.51
38 Na 0.8577 0.4987 0.7472  6 O 2.41-2.63
39 Na 0.8577 0.5024 0.2463  6 O 2.36-2.63
40 Na 0.8619 0.1646 0.5849  6 O 2.41-2.52
41 Na 0.8666 0.8299 0.4234  5 O 2.43-2.62
42 Na 0.9823 0.6719 0.3411  6 O 2.46-2.71
43 Sc 0.3524 0.0041 0.3989  4 O 1.95-2.17
44 Sc 0.3582 0.6766 0.4403  4 O 1.96-2.10
45 Sc 0.3632 0.3285 0.7637  5 O 2.02-2.13
46 Sc 0.3639 0.0009 0.8965  6 O 1.99-2.21
47 Sc 0.3739 0.3380 0.0659  6 O 2.01-2.24
48 Sc 0.3781 0.3235 0.2670  5 O 2.00-2.22
49 Sc 0.8456 0.8263 0.7671  4 O 1.97-2.18
50 Sc 0.8481 0.8375 0.5670  6 O 1.99-2.23
51 Sc 0.8615 0.4988 0.3994  5 O 1.98-2.20
52 Sc 0.8642 0.1773 0.9373  4 O 1.94-2.10
53 Sc 0.8710 0.5037 0.8979  5 O 1.95-2.17
54 Sc 0.8708 0.8267 0.2667  5 O 1.99-2.20
55 Si 0.0026 0.9811 0.1659  4 O 1.60-1.69
56 Si 0.0060 0.3136 0.8298  4 O 1.63-1.66
57 Si 0.0068 0.6432 0.5033  4 O 1.63-1.65
58 Si 0.0148 0.3573 0.5025  4 O 1.62-1.67
59 Si 0.0182 0.6789 0.1660  4 O 1.62-1.68
60 Si 0.0690 0.0045 0.4982  4 O 1.62-1.67
61 Si 0.0840 0.6690 0.8335  4 O 1.63-1.67
62 Si 0.1389 0.1689 0.3329  4 O 1.63-1.68
63 Si 0.1544 0.5046 0.9988  4 O 1.62-1.68
64 Si 0.2049 0.1794 0.6661  4 O 1.62-1.67
65 Si 0.2119 0.1472 0.0010  4 O 1.62-1.67
66 Si 0.2189 0.8579 0.0025  4 O 1.60-1.69
67 Si 0.2204 0.8120 0.3300  4 O 1.63-1.68
68 Si 0.2223 0.4815 0.6669  4 O 1.60-1.67
69 Si 0.5002 0.8041 0.8348  4 O 1.63-1.65
70 Si 0.5021 0.8607 0.5017  4 O 1.63-1.67
71 Si 0.5131 0.4876 0.1684  4 O 1.60-1.68
72 Si 0.5150 0.1565 0.4988  4 O 1.63-1.66
73 Si 0.5186 0.1746 0.1649  4 O 1.62-1.68
74 Si 0.5718 0.1678 0.8328  4 O 1.63-1.66
75 Si 0.6499 0.6670 0.3331  4 O 1.62-1.67
76 Si 0.6506 0.3413 0.6653  4 O 1.61-1.68
77 Si 0.7042 0.6773 0.6659  4 O 1.63-1.66
78 Si 0.7091 0.6578 0.0007  4 O 1.62-1.68
79 Si 0.7087 0.9881 0.6681  4 O 1.61-1.68
80 Si 0.7211 0.3608 0.0020  4 O 1.62-1.68
81 Si 0.7236 0.3040 0.3344  4 O 1.64-1.66
82 Ge 0.3399 0.0054 0.1015  4 O 1.77-1.88
83 Ge 0.3495 0.3255 0.5723  5 O 1.83-1.95
84 Ge 0.3583 0.6806 0.9446  5 O 1.82-1.98
85 Ge 0.3607 0.6623 0.2312  5 O 1.83-1.97
86 Ge 0.3650 0.6613 0.7308  5 O 1.83-1.96
87 Ge 0.3735 0.0166 0.5944  5 O 1.82-2.00
88 Ge 0.8444 0.1782 0.7223  5 O 1.84-1.94
89 Ge 0.8510 0.5162 0.0943  5 O 1.82-2.03
90 Ge 0.8580 0.1617 0.2303  5 O 1.83-1.96
91 Ge 0.8671 0.1814 0.4454  5 O 1.82-1.97
92 Ge 0.8749 0.4974 0.6072  5 O 1.85-1.89
93 Ge 0.8907 0.8272 0.0682  4 O 1.83-1.85
94 S 0.0052 0.0225 0.8320  4 O 1.45-1.51
95 S 0.0625 0.3348 0.1691  4 O 1.46-1.53
96 S 0.1604 0.8345 0.6690  4 O 1.46-1.53
97 S 0.2178 0.5223 0.3314  4 O 1.46-1.50
98 S 0.5014 0.5266 0.8352  4 O 1.47-1.50
99 S 0.5687 0.4965 0.5011  4 O 1.46-1.51
100 S 0.5708 0.8367 0.1655  4 O 1.47-1.51
101 S 0.6517 0.9952 0.0028  4 O 1.48-1.50
102 S 0.7190 0.0247 0.3325  4 O 1.46-1.50
103 O 0.0000 0.7480 0.1089  1 Si 1.68, 1 Ge 1.83
104 O 0.0229 0.1758 0.6726  1 Si 1.64
105 O 0.0303 0.1480 0.0007  1 Si 1.63
106 O 0.0318 0.5292 0.0532  1 Si 1.67
107 O 0.0322 0.8467 0.0089  1 Si 1.69, 1 Ge 1.85
108 O 0.0345 0.1815 0.3942  1 Si 1.65
109 O 0.0353 0.1513 0.2705  1 Si 1.68, 1 Ge 1.83
110 O 0.0373 0.4932 0.6612  1 Si 1.67
111 O 0.0391 0.8248 0.3272  1 Si 1.64
112 O 0.0524 0.5145 0.3329  1 S 1.49
113 O 0.0650 0.4859 0.9359  1 Si 1.62
114 O 0.0658 0.8239 0.6144  1 S 1.48
115 O 0.0674 0.8404 0.7245  1 S 1.48
116 O 0.1561 0.3402 0.2246  1 S 1.48
117 O 0.1557 0.9853 0.4343  1 Si 1.63
118 O 0.1567 0.3239 0.1146  1 S 1.47
119 O 0.1722 0.0125 0.8344  1 S 1.51
120 O 0.1864 0.3261 0.8271  1 Si 1.63
121 O 0.1869 0.6820 0.8960  1 Si 1.66
122 O 0.1884 0.6518 0.7719  1 Si 1.67, 1 Ge 1.83
123 O 0.1895 0.6452 0.5022  1 Si 1.64
124 O 0.1897 0.9898 0.1600  1 Si 1.69, 1 Ge 1.88
125 O 0.1930 0.0281 0.5518  1 Si 1.66
126 O 0.1992 0.3455 0.5101  1 Si 1.67
127 O 0.2008 0.6753 0.1736  1 Si 1.65
128 O 0.2269 0.2462 0.6083  1 Si 1.67, 1 Ge 1.84
129 O 0.2338 0.9151 0.9429  1 Si 1.60
130 O 0.2400 0.2570 0.3303  1 Si 1.65
131 O 0.2401 0.7548 0.3907  1 Si 1.63
132 O 0.2408 0.4242 0.7262  1 Si 1.60
133 O 0.2426 0.0852 0.0610  1 Si 1.67, 1 Ge 1.77
134 O 0.2453 0.5773 0.2772  1 S 1.50
135 O 0.2490 0.0857 0.3321  1 Si 1.63
136 O 0.2543 0.7531 0.6694  1 S 1.53
137 O 0.2558 0.4203 0.0084  1 Si 1.62
138 O 0.2600 0.9088 0.6673  1 S 1.46
139 O 0.2632 0.5918 0.9948  1 Si 1.68
140 O 0.2790 0.5606 0.3873  1 S 1.46
141 O 0.2800 0.2428 0.0087  1 Si 1.62
142 O 0.2844 0.4364 0.3239  1 S 1.47
143 O 0.2870 0.7606 0.0010  1 Si 1.64
144 O 0.2891 0.5810 0.6714  1 Si 1.66
145 O 0.2910 0.0868 0.6547  1 Si 1.65
146 O 0.2915 0.1052 0.9411  1 Si 1.63
147 O 0.2928 0.7595 0.2697  1 Si 1.68, 1 Ge 1.83
148 O 0.2929 0.9041 0.0638  1 Si 1.65, 1 Ge 1.82
149 O 0.2937 0.2168 0.7253  1 Si 1.62
150 O 0.2941 0.4332 0.6061  1 Si 1.65
151 O 0.3046 0.9047 0.3285  1 Si 1.63
152 O 0.4229 0.7654 0.5043  1 Si 1.65
153 O 0.4243 0.8993 0.8371  1 Si 1.63
154 O 0.4245 0.9119 0.5608  1 Si 1.67, 1 Ge 1.84
155 O 0.4265 0.2479 0.5110  1 Si 1.65
156 O 0.4281 0.7585 0.7730  1 Si 1.65, 1 Ge 1.85
157 O 0.4302 0.2122 0.2253  1 Si 1.65
158 O 0.4327 0.1171 0.4384  1 Si 1.63
159 O 0.4337 0.4404 0.8300  1 S 1.48
160 O 0.4381 0.0780 0.1554  1 Si 1.68, 1 Ge 1.85
161 O 0.4403 0.5659 0.8910  1 S 1.47
162 O 0.4400 0.5865 0.1746  1 Si 1.68, 1 Ge 1.85
163 O 0.4415 0.4467 0.1078  1 Si 1.60
164 O 0.4670 0.0804 0.8308  1 Si 1.65
165 O 0.4694 0.9114 0.1610  1 S 1.48
166 O 0.4710 0.2550 0.8317  1 Si 1.63
167 O 0.4705 0.4211 0.5040  1 S 1.47
168 O 0.4727 0.5757 0.4989  1 S 1.51
169 O 0.4744 0.5784 0.7796  1 S 1.50
170 O 0.4744 0.7438 0.8943  1 Si 1.64, 1 Ge 1.82
171 O 0.4749 0.9141 0.4399  1 Si 1.63
172 O 0.4760 0.7564 0.1650  1 S 1.51
173 O 0.4900 0.4257 0.2274  1 Si 1.64
174 O 0.4975 0.0924 0.5579  1 Si 1.66, 1 Ge 1.82
175 O 0.4990 0.2389 0.1085  1 Si 1.62
176 O 0.5209 0.6735 0.6762  1 Si 1.66, 1 Ge 1.85
177 O 0.5232 0.9968 0.6599  1 Si 1.68
178 O 0.5262 0.6586 0.9953  1 Si 1.65
179 O 0.5281 0.3174 0.6116  1 Si 1.65, 1 Ge 1.83
180 O 0.5386 0.6537 0.2726  1 Si 1.67, 1 Ge 1.84
181 O 0.5409 0.3161 0.3319  1 Si 1.65
182 O 0.5411 0.3472 0.0050  1 Si 1.63
183 O 0.5493 0.0069 0.0552  1 S 1.48
184 O 0.5526 0.6770 0.3951  1 Si 1.62
185 O 0.5540 0.0184 0.3342  1 S 1.48
186 O 0.5685 0.9855 0.9446  1 S 1.49
187 O 0.5698 0.3561 0.7300  1 Si 1.61
188 O 0.6533 0.4877 0.4424  1 S 1.50
189 O 0.6526 0.8460 0.2234  1 S 1.47
190 O 0.6673 0.1744 0.8960  1 Si 1.63
191 O 0.6671 0.5199 0.8370  1 S 1.49
192 O 0.6689 0.5094 0.5529  1 S 1.46
193 O 0.6751 0.8250 0.1136  1 S 1.48
194 O 0.6814 0.1568 0.7724  1 Si 1.66
195 O 0.6820 0.8471 0.5038  1 Si 1.63
196 O 0.6826 0.8163 0.8326  1 Si 1.65
197 O 0.6981 0.4980 0.1611  1 Si 1.67
198 O 0.6990 0.1577 0.4937  1 Si 1.65
199 O 0.7017 0.1708 0.1754  1 Si 1.66, 1 Ge 1.86
200 O 0.7205 0.7423 0.6091  1 Si 1.63
201 O 0.7278 0.5945 0.0602  1 Si 1.66, 1 Ge 1.82
202 O 0.7297 0.9247 0.7267  1 Si 1.65
203 O 0.7472 0.0740 0.0019  1 S 1.50
204 O 0.7475 0.0775 0.2772  1 S 1.50
205 O 0.7468 0.4170 0.9418  1 Si 1.62
206 O 0.7483 0.7558 0.3294  1 Si 1.64
207 O 0.7504 0.2430 0.3932  1 Si 1.64
208 O 0.7501 0.9192 0.0070  1 S 1.48
209 O 0.7555 0.2519 0.6665  1 Si 1.68, 1 Ge 1.88
210 O 0.7571 0.5814 0.3312  1 Si 1.65
211 O 0.7693 0.4201 0.6555  1 Si 1.64
212 O 0.7799 0.0856 0.6741  1 Si 1.65
213 O 0.7798 0.9454 0.6077  1 Si 1.61
214 O 0.7832 0.9376 0.3249  1 S 1.48
215 O 0.7837 0.0618 0.3881  1 S 1.46
216 O 0.7873 0.5842 0.6566  1 Si 1.64
217 O 0.7894 0.7171 0.7264  1 Si 1.65
218 O 0.7930 0.7522 0.0161  1 Si 1.68, 1 Ge 1.84
219 O 0.7942 0.2588 0.2718  1 Si 1.66, 1 Ge 1.85
220 O 0.7979 0.4115 0.0623  1 Si 1.68, 1 Ge 1.83
221 O 0.7984 0.6226 0.9413  1 Si 1.62
222 O 0.7988 0.2655 0.0039  1 Si 1.64
223 O 0.7993 0.3995 0.3366  1 Si 1.64
224 O 0.9197 0.4064 0.8303  1 Si 1.64
225 O 0.9284 0.9313 0.1054  1 Si 1.67, 1 Ge 1.83
226 O 0.9303 0.7179 0.2247  1 Si 1.62
227 O 0.9313 0.2620 0.7704  1 Si 1.66, 1 Ge 1.84
228 O 0.9326 0.5869 0.1554  1 Si 1.64
229 O 0.9338 0.6052 0.4398  1 Si 1.64
230 O 0.9373 0.0800 0.1698  1 Si 1.65
231 O 0.9392 0.9342 0.8268  1 S 1.50
232 O 0.9396 0.4042 0.5614  1 Si 1.62
233 O 0.9408 0.7401 0.5099  1 Si 1.63
234 O 0.9422 0.2602 0.4997  1 Si 1.65, 1 Ge 1.82
235 O 0.9476 0.0581 0.8906  1 S 1.49
236 O 0.9613 0.0919 0.4941  1 Si 1.67
237 O 0.9634 0.4091 0.1678  1 S 1.46
238 O 0.9673 0.2532 0.1694  1 S 1.53
239 O 0.9669 0.5797 0.5604  1 Si 1.65
240 O 0.9670 0.9199 0.5076  1 Si 1.62
241 O 0.9731 0.0759 0.7805  1 S 1.45
242 O 0.9734 0.5858 0.8328  1 Si 1.63
243 O 0.9818 0.9226 0.2245  1 Si 1.60
244 O 0.9833 0.7568 0.8313  1 Si 1.64
245 O 0.9840 0.2575 0.8916  1 Si 1.64
246 O 0.9981 0.4123 0.4406  1 Si 1.63

Computed properties:
DFT formation energy = -219.20 eV/f.u.
energy with MP2020 corrections = -7.077 eV per atom
M_tot = 0.00 μB per formula unit